Entry 1:
Below is a relaxed structure of KHoH8RuC6N6O4, with properties calculated at the PBE level.

Calculated values
energy of formation from the pure elements	-0.725	eV/atom
total energy	-6.8193	eV/atom
V	1367.2	Å³ per cell
total magnetization	0.0	μB per formula unit

Cell: 7.457 12.920 14.190 Å, 90.00 90.00 90.00°
Space group Cmcm (No. 63)
Unique sites:
K: 0.000 0.039 0.250 x4
Ho: 0.000 0.331 0.250 x4
H: 0.000 0.290 0.547 x8
H: 0.000 0.400 0.594 x8
H: 0.173 0.295 0.694 x16
Ru: 0.000 0.000 0.000 x4
C: 0.000 0.142 0.062 x8
C: 0.194 0.049 0.589 x16
N: 0.000 0.221 0.103 x8
N: 0.199 0.423 0.145 x16
O: 0.000 0.326 0.608 x8
O: 0.250 0.214 0.250 x8


Entry 2:
Below is a relaxed structure of KBaCeBiO6, with properties calculated at the PBE level.

Calculated values
energy of formation from the pure elements	-2.625	eV/atom
total energy	-6.4670	eV/atom
V	663.5	Å³ per cell

Cell: 8.711 8.721 8.734 Å, 90.00 90.00 90.00°
Space group Pnnn (No. 48, origin choice 2)
Unique sites:
K: 0.250 0.250 0.250 x2
K: 0.250 0.750 0.250 x2
Ba: 0.250 0.250 0.750 x2
Ba: 0.250 0.750 0.750 x2
Ce: 0.000 0.000 0.000 x4
Bi: 0.000 0.000 0.500 x4
O: 0.016 0.245 0.485 x8
O: 0.024 0.013 0.745 x8
O: 0.245 0.518 0.006 x8


Entry 3:
Below is a relaxed structure of HfCrGa2, with properties calculated at the PBE level.

Calculated values
energy of formation from the pure elements	-0.312	eV/atom
total energy	-6.7286	eV/atom
V	775.9	Å³ per cell
total magnetization	0.4	μB per formula unit

Cell: 9.992 8.542 9.091 Å, 90.00 90.00 90.00°
Space group Pnma (No. 62)
Unique sites:
Hf: 0.048 0.026 0.166 x8
Hf: 0.180 0.750 0.664 x4
Cr: 0.000 0.000 0.500 x4
Cr: 0.243 0.000 0.425 x8
Ga: 0.093 0.750 0.357 x4
Ga: 0.103 0.250 0.385 x4
Ga: 0.119 0.250 0.932 x4
Ga: 0.129 0.750 0.988 x4
Ga: 0.180 0.075 0.678 x8


Entry 4:
Below is a relaxed structure of Rb2MgSi5O12, with properties calculated at the PBE level.

Calculated values
energy of formation from the pure elements	-3.113	eV/atom
total energy	-7.2041	eV/atom
V	2571.4	Å³ per cell
total magnetization	0.0	μB per formula unit

Cell: 13.635 13.658 13.808 Å, 90.00 90.00 90.00°
Space group Pbca (No. 61)
Unique sites:
Rb: 0.100 0.111 0.109 x8
Rb: 0.147 0.653 0.854 x8
Mg: 0.131 0.671 0.565 x8
Si: 0.074 0.127 0.822 x8
Si: 0.104 0.611 0.140 x8
Si: 0.107 0.157 0.400 x8
Si: 0.141 0.115 0.616 x8
Si: 0.178 0.578 0.350 x8
O: 0.017 0.106 0.338 x8
O: 0.030 0.598 0.634 x8
O: 0.063 0.146 0.704 x8
O: 0.086 0.156 0.516 x8
O: 0.113 0.627 0.432 x8
O: 0.123 0.228 0.869 x8
O: 0.128 0.688 0.058 x8
O: 0.143 0.503 0.106 x8
O: 0.156 0.633 0.246 x8
O: 0.160 0.042 0.840 x8
O: 0.203 0.091 0.370 x8
O: 0.247 0.160 0.634 x8


Entry 5:
Below is a relaxed structure of VS2, with properties calculated at the PBE level.

Calculated values
energy of formation from the pure elements	-1.183	eV/atom
total energy	-6.6328	eV/atom
V	100.4	Å³ per cell

Cell: 3.190 3.191 11.459 Å, 83.68 85.50 60.05°
Space group P-1 (No. 2)
Unique sites:
V: 0.000 0.000 0.000 x1
S: 0.348 0.377 0.871 x2


Entry 6:
Below is a relaxed structure of K4RuC6N6O2, with properties calculated at the PBE level.

Calculated values
energy of formation from the pure elements	-0.078	eV/atom
total energy	-6.7951	eV/atom
V	1581.0	Å³ per cell
total magnetization	4.0	μB per formula unit

Cell: 9.515 17.246 9.635 Å, 90.00 90.16 90.00°
Space group C2/c (No. 15)
Unique sites:
K: 0.099 0.143 0.447 x8
K: 0.184 0.365 0.157 x8
Ru: 0.000 0.323 0.750 x4
C: 0.000 0.205 0.750 x4
C: 0.000 0.440 0.750 x4
C: 0.067 0.322 0.550 x8
C: 0.203 0.324 0.817 x8
N: 0.000 0.136 0.750 x4
N: 0.000 0.492 0.250 x4
N: 0.107 0.320 0.434 x8
N: 0.179 0.176 0.146 x8
O: 0.242 0.001 0.995 x8